Record 1
An optimized crystal structure of TlAuCl4. Source: the Materials Project, functional PBE-GGA.

The value obtained for the formation energy is -0.998 eV per atom.

The structure belongs to space group C2/c (No. 15); the cell edges are 12.5209, 5.9394 and 10.2205 Å and the angles 90.00°, 101.34° and 90.00°. Symmetry generates all atoms from Tl at (0.0000, 0.2270, 0.2500), Au at (0.2500, 0.2500, 0.0000), Cl at (0.0621, 0.2595, 0.9321) and Cl at (0.2332, 0.0390, 0.6481).

Record 2
An optimized crystal structure of CoAu4. Source: the Materials Project, functional PBE-GGA.

The value obtained for the formation energy is 0.152 eV per atom. As for the magnetization: 5.31 μB per cell.

The structure belongs to space group R-3m (No. 166, hexagonal axes); the cell edges are 2.9055, 2.9055 and 34.9982 Å and the angles 90.00°, 90.00° and 120.00°. Symmetry generates all atoms from Co at (0.0000, 0.0000, 0.0000), Au at (0.0000, 0.0000, 0.2023) and Au at (0.0000, 0.0000, 0.3933).

Record 3
An optimized crystal structure of CoAu3. Source: the Materials Project, functional PBE-GGA.

The value obtained for the formation energy is 0.235 eV per atom. As for the magnetization: 1.87 μB per cell.

The structure belongs to space group Pm-3m (No. 221); the cell edges are 4.0245, 4.0245 and 4.0245 Å and the angles 90.00°, 90.00° and 90.00°. Symmetry generates all atoms from Co at (0.0000, 0.0000, 0.0000) and Au at (0.0000, 0.5000, 0.5000).

Record 4
An optimized crystal structure of CrAu4. Source: the Materials Project, functional PBE-GGA.

The value obtained for the formation energy is 0.028 eV per atom.

The structure belongs to space group I4/m (No. 87); the cell edges are 6.5302, 6.5302 and 4.1093 Å and the angles 90.00°, 90.00° and 90.00°. Symmetry generates all atoms from Cr at (0.0000, 0.0000, 0.0000) and Au at (0.1026, 0.2965, 0.5000).

Record 5
An optimized crystal structure of Cr2Sn9Au. Source: the Materials Project, functional PBE-GGA.

The value obtained for the formation energy is 0.271 eV per atom. As for the magnetization: 7.37 μB per cell.

The structure belongs to space group P4/m (No. 83); the cell edges are 7.4118, 7.4118 and 5.6992 Å and the angles 90.00°, 90.00° and 90.00°. Symmetry generates all atoms from Cr at (0.0000, 0.0000, 0.0000), Cr at (0.0000, 0.0000, 0.5000), Sn at (0.1212, 0.6579, 0.0000), Sn at (0.1445, 0.3483, 0.5000), Sn at (0.5000, 0.5000, 0.0000) and Au at (0.5000, 0.5000, 0.5000).

Record 6
An optimized crystal structure of CrTe4Au. Source: the Materials Project, functional PBE-GGA.

The value obtained for the formation energy is -0.146 eV per atom.

The structure belongs to space group P2/m (No. 10); the cell edges are 5.5633, 4.0763 and 7.5720 Å and the angles 90.00°, 90.33° and 90.00°. Symmetry generates all atoms from Cr at (0.0000, 0.0000, 0.0000), Te at (0.2176, 0.0000, 0.3235), Te at (0.2942, 0.5000, 0.8825) and Au at (0.0000, 0.5000, 0.5000).

Number 1: V 745.2 Å³ per cell. Number 2: V 255.9 Å³ per cell. Number 3: V 65.2 Å³ per cell. Number 4: V 175.2 Å³ per cell. Number 5: V 313.1 Å³ per cell. Number 6: V 171.7 Å³ per cell.